Record 1
Computed, not measured: a relaxed structure of NaNb2Al2P5SO24 at the GGA-PBE level of DFT.

Volume in Å³ per atom: 13.41
Space-group type: P1
Calculated formation energy in eV/atom: -2.82

POSCAR file:
```
NaNb2Al2P5SO24
1.0
8.583 0.011 -0.013
-4.282 7.421 0.002
-0.032 -0.014 22.091
Na Nb Al P S O
3 6 6 15 3 72
direct
0.000 0.999 0.005 Na
0.666 0.333 0.833 Na
0.668 0.331 0.340 Na
0.005 0.007 0.361 Nb
0.999 0.000 0.853 Nb
0.666 0.328 0.190 Nb
0.332 0.666 0.028 Nb
0.339 0.668 0.526 Nb
0.334 0.666 0.806 Nb
0.993 0.993 0.644 Al
0.010 0.007 0.146 Al
0.664 0.337 0.687 Al
0.668 0.334 0.981 Al
0.670 0.342 0.479 Al
0.324 0.666 0.313 Al
0.276 0.985 0.249 P
0.017 0.292 0.249 P
0.288 0.277 0.743 P
0.989 0.709 0.744 P
0.720 0.013 0.744 P
0.683 0.618 0.585 P
0.941 0.627 0.082 P
0.685 0.056 0.081 P
0.376 0.317 0.081 P
0.618 0.656 0.918 P
0.037 0.382 0.918 P
0.345 0.963 0.918 P
0.607 0.958 0.415 P
0.353 0.396 0.415 P
0.042 0.651 0.416 P
0.708 0.721 0.249 S
0.940 0.322 0.585 S
0.382 0.061 0.584 S
0.195 0.027 0.306 O
0.823 0.795 0.304 O
0.970 0.169 0.306 O
0.201 0.165 0.803 O
0.961 0.795 0.804 O
0.833 0.041 0.804 O
0.805 0.975 0.691 O
0.165 0.191 0.690 O
0.029 0.833 0.691 O
0.794 0.825 0.195 O
0.032 0.198 0.193 O
0.165 0.965 0.193 O
0.864 0.358 0.638 O
0.496 0.135 0.638 O
0.638 0.497 0.640 O
0.862 0.507 0.139 O
0.645 0.135 0.139 O
0.493 0.355 0.139 O
0.467 0.294 0.026 O
0.828 0.536 0.026 O
0.710 0.172 0.026 O
0.464 0.165 0.529 O
0.704 0.530 0.528 O
0.833 0.295 0.530 O
0.533 0.693 0.974 O
0.159 0.467 0.974 O
0.308 0.841 0.973 O
0.530 0.840 0.473 O
0.312 0.473 0.473 O
0.160 0.691 0.474 O
0.128 0.624 0.360 O
0.493 0.868 0.360 O
0.376 0.509 0.360 O
0.129 0.495 0.861 O
0.365 0.870 0.861 O
0.505 0.635 0.861 O
0.022 0.822 0.408 O
0.796 0.973 0.407 O
0.178 0.206 0.409 O
0.022 0.194 0.911 O
0.172 0.979 0.910 O
0.806 0.829 0.911 O
0.968 0.167 0.592 O
0.201 0.038 0.592 O
0.842 0.808 0.593 O
0.966 0.813 0.092 O
0.845 0.030 0.092 O
0.189 0.156 0.090 O
0.694 0.175 0.738 O
0.475 0.300 0.740 O
0.827 0.521 0.740 O
0.689 0.535 0.244 O
0.843 0.312 0.243 O
0.468 0.161 0.244 O
0.638 0.491 0.925 O
0.853 0.362 0.925 O
0.509 0.147 0.925 O
0.634 0.145 0.427 O
0.511 0.366 0.425 O
0.856 0.489 0.426 O
0.360 0.491 0.075 O
0.131 0.643 0.075 O
0.511 0.868 0.075 O
0.361 0.875 0.578 O
0.509 0.639 0.575 O
0.125 0.488 0.577 O
0.303 0.826 0.260 O
0.531 0.700 0.258 O
0.178 0.475 0.260 O
0.305 0.465 0.756 O
0.160 0.693 0.757 O
0.533 0.841 0.757 O
```



Record 2
Computed, not measured: a relaxed structure of Na2TiZn2GeO7 at the GGA-PBE level of DFT.

Volume in Å³ per atom: 12.65
Space-group type: Pbca
Calculated formation energy in eV/atom: -2.36

POSCAR file:
```
Na2TiZn2GeO7
1.0
-2.339 -1.592 -4.479
-8.948 -4.796 6.378
-10.314 17.930 -0.988
Na Ti Zn Ge O
16 8 16 8 56
direct
0.756 0.664 0.826 Na
0.256 0.336 0.674 Na
0.744 0.164 0.174 Na
0.244 0.836 0.326 Na
0.244 0.336 0.174 Na
0.744 0.664 0.326 Na
0.256 0.836 0.826 Na
0.756 0.164 0.674 Na
0.758 0.174 0.997 Na
0.258 0.826 0.503 Na
0.258 0.326 0.997 Na
0.758 0.674 0.503 Na
0.242 0.826 0.003 Na
0.742 0.174 0.497 Na
0.742 0.674 0.003 Na
0.242 0.326 0.497 Na
0.791 0.687 0.667 Ti
0.791 0.187 0.833 Ti
0.291 0.813 0.667 Ti
0.709 0.687 0.167 Ti
0.209 0.313 0.333 Ti
0.209 0.813 0.167 Ti
0.709 0.187 0.333 Ti
0.291 0.313 0.833 Ti
0.255 0.079 0.241 Zn
0.245 0.579 0.759 Zn
0.755 0.921 0.259 Zn
0.785 0.920 0.572 Zn
0.255 0.579 0.259 Zn
0.755 0.421 0.241 Zn
0.245 0.079 0.741 Zn
0.745 0.921 0.759 Zn
0.285 0.080 0.928 Zn
0.715 0.420 0.428 Zn
0.215 0.580 0.072 Zn
0.785 0.420 0.928 Zn
0.715 0.920 0.072 Zn
0.285 0.580 0.572 Zn
0.215 0.080 0.428 Zn
0.745 0.421 0.741 Zn
0.783 0.929 0.912 Ge
0.283 0.071 0.588 Ge
0.717 0.429 0.088 Ge
0.217 0.571 0.412 Ge
0.217 0.071 0.088 Ge
0.717 0.929 0.412 Ge
0.283 0.571 0.912 Ge
0.783 0.429 0.588 Ge
0.695 0.348 0.656 O
0.195 0.652 0.844 O
0.805 0.848 0.344 O
0.305 0.152 0.156 O
0.305 0.652 0.344 O
0.805 0.348 0.156 O
0.195 0.152 0.656 O
0.695 0.848 0.844 O
0.652 0.068 0.902 O
0.152 0.932 0.598 O
0.848 0.568 0.098 O
0.348 0.432 0.402 O
0.348 0.932 0.098 O
0.848 0.068 0.402 O
0.152 0.432 0.902 O
0.652 0.568 0.598 O
0.674 0.363 0.517 O
0.174 0.637 0.983 O
0.826 0.863 0.483 O
0.326 0.137 0.017 O
0.326 0.637 0.483 O
0.826 0.363 0.017 O
0.174 0.137 0.517 O
0.674 0.863 0.983 O
0.952 0.305 0.786 O
0.588 0.298 0.887 O
0.452 0.695 0.714 O
0.048 0.195 0.286 O
0.048 0.695 0.214 O
0.548 0.305 0.286 O
0.452 0.195 0.786 O
0.952 0.805 0.714 O
0.617 0.063 0.584 O
0.117 0.937 0.916 O
0.883 0.563 0.416 O
0.383 0.437 0.084 O
0.383 0.937 0.416 O
0.883 0.063 0.084 O
0.117 0.437 0.584 O
0.617 0.563 0.916 O
0.896 0.069 0.776 O
0.396 0.931 0.724 O
0.604 0.569 0.224 O
0.104 0.431 0.276 O
0.104 0.931 0.224 O
0.604 0.069 0.276 O
0.396 0.431 0.776 O
0.896 0.569 0.724 O
0.588 0.798 0.613 O
0.088 0.202 0.887 O
0.912 0.298 0.387 O
0.412 0.702 0.113 O
0.412 0.202 0.387 O
0.912 0.798 0.113 O
0.088 0.702 0.613 O
0.548 0.805 0.214 O
```



Record 3
Computed, not measured: a relaxed structure of Ti2Co3Si at the GGA-PBE level of DFT.

Volume in Å³ per atom: 12.41
Space-group type: P6_3/mmc
Calculated formation energy in eV/atom: -0.59

POSCAR file:
```
Ti2Co3Si
1.0
2.415 -4.184 0.000
2.415 4.184 0.000
0.000 0.000 7.367
Ti Co Si
4 6 2
direct
0.333 0.667 0.942 Ti
0.667 0.333 0.058 Ti
0.667 0.333 0.442 Ti
0.333 0.667 0.558 Ti
0.829 0.171 0.750 Co
0.829 0.658 0.750 Co
0.342 0.171 0.750 Co
0.171 0.829 0.250 Co
0.171 0.342 0.250 Co
0.658 0.829 0.250 Co
0.000 0.000 0.000 Si
0.000 0.000 0.500 Si
```



Record 4
Computed, not measured: a relaxed structure of HfAlPt2 at the GGA-PBE level of DFT.

Volume in Å³ per atom: 16.84
Space-group type: Fm-3m
Calculated formation energy in eV/atom: -1.02

POSCAR file:
```
HfAlPt2
1.0
-2.438 -3.091 -2.314
-3.881 -1.635 1.767
-4.015 1.168 -1.837
Hf Al Pt
1 1 2
direct
0.500 0.500 0.500 Hf
0.000 0.000 0.000 Al
0.250 0.250 0.250 Pt
0.750 0.750 0.750 Pt
```



Record 5
Computed, not measured: a relaxed structure of LuCuTe2 at the GGA-PBE level of DFT.

Volume in Å³ per atom: 25.57
Space-group type: P-3m1
Calculated formation energy in eV/atom: -0.98

POSCAR file:
```
LuCuTe2
1.0
-1.609 0.436 -3.875
4.168 -0.391 0.521
-0.555 -6.593 -0.511
Lu Cu Te
1 1 2
direct
0.000 0.000 0.000 Lu
0.000 0.000 0.500 Cu
0.667 0.333 0.728 Te
0.333 0.667 0.272 Te
```



Record 6
Computed, not measured: a relaxed structure of Nb6Te8Pb at the GGA-PBE level of DFT.

Volume in Å³ per atom: 24.64
Space-group type: P-3
Calculated formation energy in eV/atom: -0.39

POSCAR file:
```
Nb6Te8Pb
1.0
-9.648 4.718 -0.903
6.387 -0.902 -8.634
-1.518 -3.253 -0.783
Nb Te Pb
6 8 1
direct
0.511 0.613 0.749 Nb
0.387 0.898 0.749 Nb
0.102 0.489 0.749 Nb
0.489 0.387 0.251 Nb
0.613 0.102 0.251 Nb
0.898 0.511 0.251 Nb
0.667 0.938 0.752 Te
0.062 0.729 0.752 Te
0.271 0.333 0.752 Te
0.333 0.062 0.248 Te
0.938 0.271 0.248 Te
0.729 0.667 0.248 Te
0.667 0.333 0.750 Te
0.333 0.667 0.250 Te
0.000 0.000 0.500 Pb
```



Record 7
Computed, not measured: a relaxed structure of TeF4 at the GGA-PBE level of DFT.

Volume in Å³ per atom: 17.06
Space-group type: P2_12_12_1
Maximum piezoelectric response in C/m2: 0.156
Calculated formation energy in eV/atom: -2.47

POSCAR file:
```
TeF4
1.0
-2.131 -2.869 4.280
-1.857 -4.464 -3.917
8.600 -4.619 1.185
Te F
4 16
direct
0.154 0.996 0.625 Te
0.346 0.004 0.125 Te
0.654 0.504 0.375 Te
0.846 0.496 0.875 Te
0.701 0.238 0.946 F
0.085 0.843 0.044 F
0.585 0.657 0.956 F
0.438 0.714 0.250 F
0.141 0.035 0.275 F
0.359 0.965 0.775 F
0.641 0.465 0.725 F
0.415 0.157 0.544 F
0.062 0.286 0.750 F
0.859 0.535 0.225 F
0.915 0.343 0.456 F
0.299 0.738 0.554 F
0.562 0.214 0.250 F
0.799 0.762 0.446 F
0.938 0.786 0.750 F
0.201 0.262 0.054 F
```



Record 8
Computed, not measured: a relaxed structure of LiTi2O4 at the GGA-PBE level of DFT.

Volume in Å³ per atom: 10.21
Space-group type: Pmn2_1
Calculated formation energy in eV/atom: -3.20

POSCAR file:
```
LiTi2O4
1.0
3.940 0.000 0.000
0.000 8.155 0.000
0.000 0.000 8.895
Li Ti O
4 8 16
direct
0.000 0.623 0.007 Li
0.500 0.377 0.507 Li
0.500 0.630 0.754 Li
0.000 0.370 0.254 Li
0.000 0.646 0.501 Ti
0.000 0.117 0.506 Ti
0.500 0.354 0.001 Ti
0.500 0.883 0.006 Ti
0.500 0.642 0.246 Ti
0.500 0.112 0.245 Ti
0.000 0.358 0.746 Ti
0.000 0.888 0.745 Ti
0.000 0.627 0.722 O
0.000 0.127 0.732 O
0.500 0.373 0.222 O
0.500 0.873 0.232 O
0.500 0.618 0.476 O
0.500 0.135 0.474 O
0.000 0.382 0.976 O
0.000 0.865 0.974 O
0.000 0.376 0.522 O
0.000 0.877 0.520 O
0.500 0.624 0.022 O
0.500 0.123 0.020 O
0.500 0.385 0.768 O
0.500 0.871 0.777 O
0.000 0.615 0.268 O
0.000 0.129 0.277 O
```



Record 9
Computed, not measured: a relaxed structure of MgTi2Si2O8 at the GGA-PBE level of DFT.

Volume in Å³ per atom: 11.27
Space-group type: Amm2
Calculated formation energy in eV/atom: -3.14

POSCAR file:
```
MgTi2Si2O8
1.0
4.446 2.231 0.893
-0.334 -1.612 -4.778
-2.392 5.435 -1.666
Mg Ti Si O
1 2 2 8
direct
0.665 0.335 0.250 Mg
0.009 0.991 0.536 Ti
0.009 0.991 0.964 Ti
0.652 0.348 0.750 Si
0.345 0.655 0.250 Si
0.766 0.234 0.534 O
0.228 0.772 0.461 O
0.766 0.234 0.966 O
0.228 0.772 0.039 O
0.770 0.699 0.750 O
0.701 0.759 0.250 O
0.241 0.299 0.250 O
0.301 0.230 0.750 O
```



Record 10
Computed, not measured: a relaxed structure of LiCu4P3O12 at the GGA-PBE level of DFT.

Volume in Å³ per atom: 11.81
Space-group type: P-1
Calculated formation energy in eV/atom: -1.95

POSCAR file:
```
LiCu4P3O12
1.0
-3.395 -3.266 -5.706
3.582 -6.579 2.068
-6.197 2.542 6.817
Li Cu P O
2 8 6 24
direct
0.362 0.144 0.376 Li
0.638 0.856 0.624 Li
0.985 0.209 0.547 Cu
0.731 0.472 0.079 Cu
0.734 0.105 0.099 Cu
0.266 0.895 0.901 Cu
0.269 0.528 0.921 Cu
0.295 0.607 0.285 Cu
0.015 0.791 0.453 Cu
0.705 0.393 0.715 Cu
0.692 0.452 0.392 P
0.981 0.752 0.060 P
0.019 0.248 0.940 P
0.391 0.136 0.744 P
0.308 0.548 0.608 P
0.609 0.864 0.256 P
0.583 0.663 0.138 O
0.811 0.654 0.492 O
0.186 0.424 0.052 O
0.814 0.576 0.948 O
0.468 0.438 0.340 O
0.741 0.365 0.239 O
0.259 0.635 0.761 O
0.077 0.740 0.231 O
0.139 0.744 0.987 O
0.523 0.129 0.650 O
0.532 0.562 0.660 O
0.547 0.993 0.158 O
0.903 0.930 0.074 O
0.169 0.057 0.622 O
0.923 0.260 0.769 O
0.189 0.346 0.508 O
0.097 0.070 0.926 O
0.753 0.327 0.495 O
0.477 0.871 0.350 O
0.861 0.256 0.013 O
0.417 0.337 0.862 O
0.453 0.007 0.842 O
0.247 0.673 0.505 O
0.831 0.943 0.378 O
```



Record 11
Computed, not measured: a relaxed structure of SbTePd at the GGA-PBE level of DFT.

Volume in Å³ per atom: 24.41
Space-group type: P2_13
Calculated formation energy in eV/atom: -0.37

POSCAR file:
```
SbTePd
1.0
6.641 0.000 0.000
0.000 6.641 0.000
0.000 0.000 6.641
Sb Te Pd
4 4 4
direct
0.627 0.627 0.627 Sb
0.873 0.373 0.127 Sb
0.127 0.873 0.373 Sb
0.373 0.127 0.873 Sb
0.374 0.374 0.374 Te
0.126 0.626 0.874 Te
0.874 0.126 0.626 Te
0.626 0.874 0.126 Te
0.004 0.004 0.004 Pd
0.496 0.996 0.504 Pd
0.504 0.496 0.996 Pd
0.996 0.504 0.496 Pd
```